1.
VASP calculation (PBE) on an optimized crystal structure of Na.

Output
- formation energy from the elements (eV per atom) = 0.01
- polymorph energy (0 for the lowest one) (kcal/mol of atoms) = 0.30
- final energy (eV for the cell shown) = -10.48

```
8
Lattice="-4.1939 4.1939 4.1939 4.1939 -4.1939 4.1939 4.1939 4.1939 -4.1939" Properties=species:S:1:pos:R:3 pbc="T T T"
Na 1.8746 6.0685 -1.8746
Na -1.8746 1.8746 6.0685
Na 0.2223 -0.2223 3.9715
Na 2.3193 2.3193 2.3193
Na 0.2223 0.2223 0.2223
Na 3.9715 0.2223 -0.2223
Na -0.2223 3.9715 0.2223
Na 6.0685 -1.8746 1.8746
```

---

2.
VASP calculation (PBE) on an optimized crystal structure of Na.

Output
- formation energy from the elements (eV per atom) = 0.01
- polymorph energy (0 for the lowest one) (kcal/mol of atoms) = 0.25
- final energy (eV for the cell shown) = -1.31

```
1
Lattice="1.2806 1.9390 2.8983 -2.2614 2.3028 1.8392 -1.1157 -0.8473 3.4405" Properties=species:S:1:pos:R:3 pbc="T T T"
Na 0.0000 0.0000 0.0000
```

---

3.
VASP calculation (PBE) on an optimized crystal structure of Na.

Output
- formation energy from the elements (eV per atom) = 0.12
- polymorph energy (0 for the lowest one) (kcal/mol of atoms) = 2.86
- final energy (eV for the cell shown) = -4.79

```
4
Lattice="1.3681 1.1145 4.2624 -4.4752 -0.6945 -0.8784 0.9309 -8.3983 1.8972" Properties=species:S:1:pos:R:3 pbc="T T T"
Na -2.2947 -2.1911 1.3095
Na 0.4654 -4.1992 0.9486
Na 0.0000 0.0000 0.0000
Na 0.1185 -5.7872 3.9717
```

---

- Among the records above, which one has the highest formation energy from the elements?
  number 3